[1]
This record from the Materials Project describes Te4MoW3Se2S2 after structural relaxation. The functional is GGA-PBE.

Lattice parameters (Å, degrees): 3.398 3.398 38.663 90.00 90.00 120.00
Fractional positions:
Te 0.000 0.000 0.000
Te 0.000 0.000 0.097
Te 0.000 0.000 0.376
Te 0.000 0.000 0.473
Mo 0.000 0.000 0.861
W 0.000 0.000 0.237
W 0.333 0.667 0.049
W 0.333 0.667 0.424
Se 0.333 0.667 0.818
Se 0.333 0.667 0.903
S 0.333 0.667 0.198
S 0.333 0.667 0.276

Calculated values
Formation energy from the elements (eV per atom): -0.44
Energy above the lowest structure with this stoichiometry (meV/atom): 20
Mass density (g/cm3): 5.9


[2]
This record from the Materials Project describes NiPb after structural relaxation. The functional is GGA-PBE.

Lattice parameters (Å, degrees): 4.154 4.154 5.190 90.00 90.00 120.00
Fractional positions:
Ni 0.000 0.000 0.000
Ni 0.000 0.000 0.500
Pb 0.333 0.667 0.250
Pb 0.667 0.333 0.750

Calculated values
Formation energy from the elements (eV per atom): 0.09
Mass density (g/cm3): 11.4